Record 1
Density functional theory data (PBE+U) for a relaxed structure of YFe2O4.

a = 3.514 Å, b = 8.804 Å, c = 6.126 Å
α = 104.12°, β = 90.00°, γ = 90.00°
Fractional positions:
O: 0.500 0.615 0.356
O: 0.000 0.613 0.891
O: 0.500 0.128 0.209
O: 0.500 0.879 0.788
O: 0.000 0.121 0.712
O: 0.500 0.387 0.609
O: 0.000 0.385 0.144
O: 0.000 0.872 0.291
Y: 0.500 0.005 0.505
Y: 0.000 0.995 0.995
Fe: 0.000 0.642 0.210
Fe: 0.000 0.359 0.788
Fe: 0.500 0.641 0.713
Fe: 0.500 0.358 0.290

Output
Its magnetization is 1.00 μB per formula unit. The space group is P2_1/m. The value obtained for the polymorph energy (0 for the lowest one) is 0.009 eV/atom. The value obtained for the calculated density is 4.78 Mg/m³.

---

Record 2
Density functional theory data (PBE+U) for a relaxed structure of Y2Fe2O7.

a = 7.174 Å, b = 7.174 Å, c = 7.174 Å
α = 59.99°, β = 59.99°, γ = 59.99°
Fractional positions:
O: 0.667 0.083 0.667
O: 0.625 0.625 0.625
O: 0.917 0.333 0.333
O: 0.083 0.667 0.667
O: 0.375 0.375 0.375
O: 0.083 0.083 0.667
O: 0.333 0.917 0.333
O: 0.917 0.333 0.917
O: 0.667 0.667 0.083
O: 0.917 0.917 0.333
O: 0.333 0.917 0.917
O: 0.667 0.083 0.083
O: 0.083 0.667 0.083
O: 0.333 0.333 0.917
Fe: 0.000 0.500 0.000
Fe: 0.000 0.000 0.500
Fe: 0.000 0.000 0.000
Fe: 0.500 0.000 0.000
Y: 0.500 0.000 0.500
Y: 0.500 0.500 0.500
Y: 0.500 0.500 0.000
Y: 0.000 0.500 0.500

Output
The space group is Fd-3m. The value obtained for the calculated density is 5.11 Mg/m³.

---

Record 3
Density functional theory data (PBE+U) for a relaxed structure of YFe2O4.

a = 3.542 Å, b = 3.544 Å, c = 16.968 Å
α = 83.92°, β = 83.92°, γ = 59.91°
Fractional positions:
O: 0.354 0.353 0.937
O: 0.562 0.562 0.307
O: 0.438 0.438 0.693
O: 0.645 0.645 0.063
O: 0.145 0.145 0.563
O: 0.065 0.068 0.807
O: 0.854 0.854 0.437
O: 0.937 0.938 0.193
Y: 0.000 0.000 0.000
Y: 0.500 0.500 0.500
Fe: 0.105 0.105 0.680
Fe: 0.394 0.392 0.820
Fe: 0.605 0.606 0.180
Fe: 0.894 0.895 0.320

Output
The space group is P1. The value obtained for the polymorph energy (0 for the lowest one) is 0.043 eV/atom. The value obtained for the calculated density is 4.80 Mg/m³.

---

Record 4
Density functional theory data (PBE+U) for a relaxed structure of YFe2O4.

a = 3.509 Å, b = 8.725 Å, c = 6.138 Å
α = 95.69°, β = 90.01°, γ = 78.40°
Fractional positions:
Y: 0.001 0.997 0.997
Y: 0.499 0.003 0.503
O: 0.311 0.378 0.552
O: 0.565 0.870 0.152
O: 0.060 0.880 0.647
O: 0.803 0.393 0.080
O: 0.935 0.130 0.348
O: 0.697 0.606 0.420
O: 0.189 0.622 0.948
O: 0.440 0.120 0.853
Fe: 0.820 0.361 0.391
Fe: 0.680 0.639 0.109
Fe: 0.321 0.359 0.890
Fe: 0.179 0.641 0.610

Output
Its magnetization is 0.00 μB per formula unit. The space group is C2/m. The value obtained for the polymorph energy (0 for the lowest one) is 0.000 eV/atom. The value obtained for the calculated density is 4.80 Mg/m³.

---

Record 5
Density functional theory data (PBE+U) for a relaxed structure of YFe2O4.

a = 3.506 Å, b = 8.792 Å, c = 6.122 Å
α = 103.92°, β = 90.50°, γ = 90.62°
Fractional positions:
O: 0.504 0.611 0.383
O: 0.497 0.389 0.618
O: 0.497 0.869 0.790
O: 0.503 0.132 0.210
O: 0.997 0.384 0.141
O: 0.991 0.881 0.289
O: 0.008 0.119 0.710
O: 0.003 0.616 0.859
Fe: 0.499 0.362 0.292
Fe: 0.991 0.643 0.209
Fe: 0.501 0.638 0.708
Fe: 0.010 0.357 0.791
Y: 0.000 0.000 0.000
Y: 0.500 0.000 0.500

Output
Its magnetization is 9.00 μB per formula unit. The space group is P-1. The value obtained for the polymorph energy (0 for the lowest one) is 0.029 eV/atom. The value obtained for the calculated density is 4.80 Mg/m³.

---

Record 6
Density functional theory data (PBE+U) for a relaxed structure of YFe2O4.

a = 3.522 Å, b = 8.783 Å, c = 6.088 Å
α = 96.13°, β = 90.45°, γ = 77.73°
Fractional positions:
Fe: 0.683 0.645 0.106
Fe: 0.179 0.640 0.614
Fe: 0.817 0.355 0.394
Fe: 0.321 0.360 0.886
Y: 0.993 0.016 0.005
Y: 0.507 0.984 0.495
O: 0.307 0.395 0.572
O: 0.193 0.604 0.928
O: 0.936 0.116 0.365
O: 0.816 0.373 0.051
O: 0.565 0.884 0.136
O: 0.684 0.627 0.449
O: 0.432 0.133 0.840
O: 0.068 0.867 0.660

Output
Its magnetization is 1.00 μB per formula unit. The space group is P-1. The value obtained for the polymorph energy (0 for the lowest one) is 0.013 eV/atom. The value obtained for the calculated density is 4.80 Mg/m³.

---

Let's list calculated volume in order: 13.13, 11.86, 13.07, 13.08, 13.08, 13.07 Å³ per atom.
Let's list energy in order: -7.571, -7.609, -7.538, -7.580, -7.551, -7.568 eV per atom.